Entry from the Materials Project database: an optimized crystal structure of VPNO5 (PBE with a Hubbard U).

Results
As for the space group: Pnn2. The energy of formation from the pure elements comes out at -34.3 kcal/mol of atoms. Its energy is -0.499 Ry per atom.

Cell lengths 10.571, 12.740, 6.342 Å; angles 90.00, 90.00, 90.00 degrees
Fractional positions:
V1 0.004 0.244 0.000
V2 0.239 0.619 0.266
V3 0.261 0.119 0.766
V4 0.496 0.744 0.500
V5 0.504 0.256 0.500
V6 0.739 0.881 0.766
V7 0.761 0.381 0.266
V8 0.996 0.756 0.000
P1 0.000 0.000 0.925
P2 0.000 0.500 0.100
P3 0.243 0.185 0.273
P4 0.257 0.685 0.773
P5 0.500 0.000 0.600
P6 0.500 0.500 0.425
P7 0.743 0.315 0.773
P8 0.757 0.815 0.273
N1 0.080 0.885 0.484
N2 0.171 0.400 0.599
N3 0.329 0.900 0.099
N4 0.420 0.385 0.984
N5 0.580 0.615 0.984
N6 0.671 0.100 0.099
N7 0.829 0.600 0.599
N8 0.920 0.115 0.484
O1 0.014 0.400 0.967
O2 0.021 0.900 0.066
O3 0.113 0.218 0.814
O4 0.120 0.016 0.794
O5 0.120 0.511 0.243
O6 0.124 0.254 0.227
O7 0.137 0.717 0.226
O8 0.141 0.756 0.820
O9 0.218 0.114 0.467
O10 0.229 0.619 0.574
O11 0.271 0.119 0.074
O12 0.282 0.614 0.967
O13 0.359 0.256 0.320
O14 0.363 0.217 0.726
O15 0.376 0.754 0.727
O16 0.380 0.011 0.743
O17 0.380 0.516 0.294
O18 0.387 0.718 0.314
O19 0.479 0.400 0.566
O20 0.486 0.900 0.467
O21 0.514 0.100 0.467
O22 0.521 0.600 0.566
O23 0.613 0.282 0.314
O24 0.620 0.484 0.294
O25 0.620 0.989 0.743
O26 0.624 0.246 0.727
O27 0.637 0.783 0.726
O28 0.641 0.744 0.320
O29 0.718 0.386 0.967
O30 0.729 0.881 0.074
O31 0.771 0.381 0.574
O32 0.782 0.886 0.467
O33 0.859 0.244 0.820
O34 0.863 0.283 0.226
O35 0.876 0.746 0.227
O36 0.880 0.489 0.243
O37 0.880 0.984 0.794
O38 0.887 0.782 0.814
O39 0.979 0.100 0.066
O40 0.986 0.600 0.967

Entry from the Materials Project database: an optimized crystal structure of TiMn2Ni3P6O24 (PBE with a Hubbard U).

Results
As for the space group: R3. The energy of formation from the pure elements comes out at -53.4 kcal/mol of atoms. Its energy is -0.512 Ry per atom.

Cell lengths 8.556, 8.556, 8.556 Å; angles 60.85, 60.85, 60.85 degrees
Fractional positions:
Ti1 0.000 0.000 0.000
Mn1 0.146 0.146 0.146
Mn2 0.647 0.647 0.647
Ni1 0.289 0.289 0.289
Ni2 0.504 0.504 0.504
Ni3 0.789 0.789 0.789
P1 0.101 0.689 0.397
P2 0.192 0.600 0.895
P3 0.397 0.101 0.689
P4 0.600 0.895 0.192
P5 0.689 0.397 0.101
P6 0.895 0.192 0.600
O1 0.042 0.635 0.824
O2 0.056 0.204 0.405
O3 0.078 0.890 0.235
O4 0.136 0.762 0.967
O5 0.137 0.537 0.328
O6 0.204 0.405 0.056
O7 0.235 0.078 0.890
O8 0.254 0.658 0.459
O9 0.328 0.137 0.537
O10 0.390 0.592 0.742
O11 0.405 0.056 0.204
O12 0.459 0.254 0.658
O13 0.537 0.328 0.137
O14 0.556 0.902 0.703
O15 0.592 0.742 0.390
O16 0.635 0.824 0.042
O17 0.658 0.459 0.254
O18 0.703 0.556 0.902
O19 0.742 0.390 0.592
O20 0.762 0.967 0.136
O21 0.824 0.042 0.635
O22 0.890 0.235 0.078
O23 0.902 0.703 0.556
O24 0.967 0.136 0.762

Entry from the Materials Project database: an optimized crystal structure of LiMnS2O8 (PBE with a Hubbard U).

Results
The energy above the most stable polymorph in this dataset comes out at 0.05 eV per formula unit. As for the space group: P1. The energy of formation from the pure elements comes out at -45.9 kcal/mol of atoms. Its energy is -0.463 Ry per atom.

Cell lengths 8.336, 8.405, 8.960 Å; angles 117.34, 91.26, 118.79 degrees
Fractional positions:
Li1 0.000 0.000 0.000
Li2 0.083 0.484 0.307
Li3 0.412 0.234 0.313
Mn1 0.300 0.584 0.872
Mn2 0.508 0.995 0.486
Mn3 0.804 0.613 0.403
S1 0.117 0.792 0.183
S2 0.196 0.799 0.688
S3 0.403 0.497 0.188
S4 0.607 0.511 0.696
S5 0.697 0.098 0.199
S6 0.901 0.088 0.687
O1 0.003 0.637 0.234
O2 0.008 0.619 0.529
O3 0.021 0.290 0.694
O4 0.033 0.901 0.169
O5 0.148 0.674 0.014
O6 0.158 0.909 0.845
O7 0.275 0.676 0.697
O8 0.290 0.291 0.176
O9 0.315 0.973 0.326
O10 0.326 0.948 0.636
O11 0.354 0.471 0.016
O12 0.358 0.647 0.323
O13 0.405 0.437 0.712
O14 0.552 0.907 0.030
O15 0.599 0.531 0.538
O16 0.615 0.589 0.241
O17 0.628 0.332 0.652
O18 0.655 0.271 0.248
O19 0.684 0.048 0.340
O20 0.691 0.009 0.638
O21 0.753 0.708 0.855
O22 0.893 0.180 0.189
O23 0.931 0.928 0.540
O24 0.945 0.104 0.852